Record 1
DFT (PBE+U) results for a geometry-optimized Cr2PIO4 structure.

Unit cell a=6.431 b=6.528 c=12.793 alpha=104.53 beta=90.00 gamma=90.00
Fractional coordinates of all 32 atoms:
Cr 0.351 0.063 0.603
Cr 0.851 0.437 0.897
Cr 0.012 0.304 0.393
Cr 0.512 0.196 0.107
Cr 0.149 0.563 0.103
Cr 0.649 0.937 0.397
Cr 0.988 0.696 0.607
Cr 0.488 0.804 0.893
P 0.369 0.305 0.878
P 0.869 0.195 0.622
P 0.131 0.805 0.378
P 0.631 0.695 0.122
I 0.530 0.340 0.340
I 0.470 0.660 0.660
I 0.030 0.160 0.160
I 0.970 0.840 0.840
O 0.174 0.705 0.261
O 0.674 0.795 0.239
O 0.826 0.295 0.739
O 0.326 0.205 0.761
O 0.334 0.903 0.438
O 0.666 0.097 0.562
O 0.834 0.597 0.062
O 0.166 0.403 0.938
O 0.531 0.490 0.891
O 0.969 0.990 0.391
O 0.469 0.510 0.109
O 0.031 0.010 0.609
O 0.963 0.362 0.564
O 0.036 0.638 0.436
O 0.536 0.862 0.064
O 0.463 0.138 0.936

total DFT energy (no corrections) = -7.013 eV per atom
SG = P2_1/c (14)
energy of formation = -2102 meV per atom
total magnetic moment = 0.000 μB/cell

***

Record 2
DFT (PBE+U) results for a geometry-optimized Rb2UCrI2O12 structure.

Unit cell a=7.451 b=11.542 c=16.406 alpha=72.98 beta=90.00 gamma=90.00
Fractional coordinates of all 72 atoms:
Rb 0.251 0.499 0.444
Rb 0.250 0.747 0.140
Rb 0.749 0.501 0.556
Rb 0.750 0.253 0.860
Rb 0.751 0.501 0.056
Rb 0.750 0.253 0.360
Rb 0.250 0.747 0.640
Rb 0.249 0.499 0.944
U 0.488 0.164 0.132
U 0.988 0.836 0.368
U 0.012 0.164 0.632
U 0.512 0.836 0.868
Cr 0.738 0.923 0.053
Cr 0.762 0.923 0.553
Cr 0.262 0.077 0.947
Cr 0.238 0.077 0.447
I 0.518 0.167 0.606
I 0.018 0.833 0.894
I 0.718 0.604 0.776
I 0.482 0.833 0.394
I 0.282 0.396 0.224
I 0.982 0.167 0.106
I 0.782 0.604 0.276
I 0.218 0.396 0.724
O 0.292 0.081 0.050
O 0.824 0.787 0.839
O 0.892 0.512 0.217
O 0.975 0.295 0.012
O 0.682 0.063 0.062
O 0.523 0.703 0.782
O 0.977 0.703 0.282
O 0.981 0.968 0.275
O 0.379 0.184 0.882
O 0.176 0.213 0.161
O 0.205 0.789 0.834
O 0.182 0.937 0.438
O 0.676 0.787 0.339
O 0.792 0.919 0.450
O 0.477 0.297 0.218
O 0.023 0.297 0.718
O 0.996 0.703 0.461
O 0.785 0.500 0.383
O 0.818 0.063 0.562
O 0.004 0.297 0.539
O 0.795 0.211 0.166
O 0.708 0.919 0.950
O 0.475 0.705 0.488
O 0.481 0.032 0.225
O 0.879 0.816 0.618
O 0.525 0.295 0.512
O 0.449 0.099 0.422
O 0.295 0.789 0.334
O 0.496 0.297 0.039
O 0.608 0.512 0.717
O 0.392 0.488 0.283
O 0.318 0.937 0.938
O 0.324 0.213 0.661
O 0.215 0.500 0.617
O 0.025 0.705 0.988
O 0.504 0.703 0.961
O 0.519 0.968 0.775
O 0.121 0.184 0.382
O 0.019 0.032 0.725
O 0.108 0.488 0.783
O 0.208 0.081 0.550
O 0.621 0.816 0.118
O 0.551 0.901 0.578
O 0.285 0.500 0.117
O 0.051 0.099 0.922
O 0.949 0.901 0.078
O 0.705 0.211 0.666
O 0.715 0.500 0.883

total DFT energy (no corrections) = -6.117 eV per atom
SG = P2_1/c (14)
energy of formation = -1945 meV per atom
total magnetic moment = 0.001 μB/cell

***

Record 3
DFT (PBE+U) results for a geometry-optimized RbUCrIO10 structure.

Unit cell a=7.349 b=8.230 c=8.722 alpha=87.07 beta=86.60 gamma=73.00
Fractional coordinates of all 28 atoms:
Rb 0.335 0.323 0.654
Rb 0.665 0.677 0.346
U 0.873 0.845 0.775
U 0.127 0.155 0.225
Cr 0.204 0.578 0.087
Cr 0.796 0.422 0.913
I 0.388 0.793 0.783
I 0.612 0.207 0.217
O 0.139 0.650 0.902
O 0.861 0.350 0.098
O 0.256 0.360 0.105
O 0.744 0.640 0.895
O 0.036 0.667 0.211
O 0.964 0.333 0.789
O 0.394 0.633 0.116
O 0.606 0.367 0.884
O 0.538 0.937 0.725
O 0.462 0.063 0.275
O 0.159 0.927 0.707
O 0.841 0.073 0.293
O 0.462 0.638 0.636
O 0.538 0.362 0.364
O 0.797 0.102 0.631
O 0.203 0.898 0.369
O 0.922 0.717 0.606
O 0.078 0.283 0.394
O 0.813 0.974 0.945
O 0.187 0.026 0.055

total DFT energy (no corrections) = -6.418 eV per atom
SG = P-1 (2)
energy of formation = -1843 meV per atom
total magnetic moment = 3.973 μB/cell

***

Record 4
DFT (PBE+U) results for a geometry-optimized ThCrI2O10 structure.

Unit cell a=7.484 b=9.465 c=12.077 alpha=90.00 beta=90.00 gamma=90.00
Fractional coordinates of all 56 atoms:
Th 0.784 0.022 0.825
Th 0.716 0.978 0.325
Th 0.216 0.522 0.675
Th 0.284 0.478 0.175
Cr 0.195 0.054 0.197
Cr 0.305 0.946 0.697
Cr 0.805 0.554 0.303
Cr 0.695 0.446 0.803
I 0.724 0.265 0.082
I 0.648 0.741 0.043
I 0.852 0.259 0.543
I 0.148 0.759 0.957
I 0.352 0.241 0.457
I 0.776 0.735 0.582
I 0.224 0.235 0.918
I 0.276 0.765 0.418
O 0.183 0.397 0.994
O 0.508 0.824 0.425
O 0.136 0.968 0.787
O 0.490 0.026 0.746
O 0.247 0.989 0.074
O 0.657 0.274 0.820
O 0.636 0.532 0.213
O 0.276 0.690 0.279
O 0.928 0.852 0.951
O 0.576 0.851 0.927
O 0.364 0.032 0.287
O 0.076 0.649 0.073
O 0.990 0.474 0.254
O 0.072 0.352 0.549
O 0.424 0.351 0.573
O 0.492 0.324 0.075
O 0.864 0.468 0.713
O 0.924 0.149 0.427
O 0.253 0.011 0.574
O 0.510 0.526 0.754
O 0.010 0.974 0.246
O 0.724 0.190 0.221
O 0.008 0.676 0.575
O 0.880 0.134 0.660
O 0.992 0.176 0.925
O 0.817 0.897 0.506
O 0.572 0.148 0.451
O 0.776 0.810 0.721
O 0.343 0.774 0.680
O 0.224 0.310 0.779
O 0.747 0.511 0.926
O 0.683 0.103 0.006
O 0.157 0.226 0.180
O 0.620 0.866 0.160
O 0.428 0.648 0.049
O 0.120 0.634 0.840
O 0.317 0.603 0.494
O 0.843 0.726 0.320
O 0.380 0.366 0.340
O 0.753 0.489 0.426

total DFT energy (no corrections) = -6.149 eV per atom
SG = P2_12_12_1 (19)
energy of formation = -1811 meV per atom
total magnetic moment = 0.004 μB/cell